First-principles (GGA+U) data for LiFe2B2O6 after structural relaxation, as listed in the Materials Project.

Computed properties:
E: -7.092 eV/atom
Excess energy over the best structure of this formula in the dataset: 29.1 meV per atom
Volume: 11.002 Å³ per atom

Cell: 5.2406 9.1557 11.3248 Å, 66.51 77.07 89.07°
With the nearest neighbours (Å) after each atom.
Atoms (fractional coordinates):
Li 0.9678 0.9614 0.4066  3 O 1.92-2.08
Li 0.7092 0.7313 0.9056  4 O 1.99-2.18
Li 0.5176 0.4952 0.6542  4 O 1.91-2.13
Li 0.2368 0.2493 0.1551  3 O 1.88-2.07
Fe 0.9836 0.6411 0.3759  4 O 1.99-2.15
Fe 0.7391 0.0729 0.8824  5 O 1.96-2.01
Fe 0.5071 0.8514 0.6320  5 O 1.91-2.11
Fe 0.7679 0.4363 0.1278  5 O 1.87-2.07
Fe 0.2246 0.5599 0.8777  3 O 1.94-2.10
Fe 0.4765 0.1534 0.3847  4 O 1.92-2.01
Fe 0.0354 0.3367 0.6303  4 O 1.95-2.14
Fe 0.2486 0.9314 0.1282  5 O 2.03-2.23
B 0.9787 0.3056 0.3755  3 O 1.34-1.41
B 0.7356 0.3996 0.8737  3 O 1.35-1.43
B 0.5377 0.1858 0.6341  3 O 1.34-1.44
B 0.7578 0.1128 0.1288  3 O 1.36-1.45
B 0.4702 0.8163 0.3809  2 O 1.33-1.39
B 0.2360 0.8971 0.8764  3 O 1.37-1.43
B 0.0097 0.6819 0.6257  3 O 1.36-1.42
B 0.2695 0.5964 0.1268  3 O 1.35-1.43
O 0.9728 0.9024 0.8802  1 B 1.37
O 0.8874 0.2857 0.8472  1 B 1.39
O 0.8388 0.4961 0.9274  1 B 1.43
O 0.8696 0.8150 0.6193  1 B 1.40
O 0.9143 0.5663 0.5960  1 B 1.36
O 0.7546 0.1491 0.6878  1 B 1.38
O 0.7452 0.3268 0.3297  1 B 1.41
O 0.4946 0.4222 0.8491  1 B 1.35
O 0.3855 0.7914 0.8285  1 B 1.43
O 0.5656 0.9347 0.4242  1 B 1.49
O 0.6116 0.6938 0.3850  1 B 1.33
O 0.3691 0.9852 0.9209  1 B 1.38
O 0.6401 0.0286 0.0759  1 B 1.37
O 0.4084 0.3156 0.6261  1 B 1.34
O 0.4557 0.0822 0.5796  1 B 1.44
O 0.5969 0.2204 0.1718  1 B 1.45
O 0.5400 0.5992 0.1066  1 B 1.38
O 0.2527 0.6709 0.6631  1 B 1.42
O 0.2321 0.8448 0.3444  1 B 1.39
O 0.0596 0.4038 0.4236  1 B 1.34
O 0.1245 0.1804 0.3623  1 B 1.41
O 0.1494 0.4851 0.0919  1 B 1.43
O 0.1287 0.6976 0.1708  1 B 1.35
O 0.0077 0.1012 0.1445  1 B 1.36